Compound: NaAlAsO4F
Source: the Materials Project database
Functional: PBE
Structure: optimized geometry

Computed properties:
The total energy comes out at -6.138 eV per atom.

Lattice parameters (Å, degrees): 6.693 8.620 7.141 90.00 115.79 90.00
Space group C2/c (No. 15)
Asymmetric unit:
Na  0.000  0.171  0.250 [4 per cell]
Al  0.000  0.500  0.000 [4 per cell]
As  0.000  0.186  0.750 [4 per cell]
O  0.101  0.298  0.610 [8 per cell]
O  0.200  0.063  0.914 [8 per cell]
F  0.000  0.435  0.250 [4 per cell]